No. 1
Material: LiEu3SiCl3O4
Method: DFT, PBE
State: optimized geometry

Cell: 7.0236 9.5180 13.6632 Å, 90.00 90.00 90.00°
Positions (direct):
Cl  0.6655  0.6827  0.1266
Cl  0.6655  0.3173  0.1266
Cl  0.6655  0.1827  0.3734
Cl  0.6655  0.8173  0.3734
Cl  0.3345  0.6827  0.8734
Cl  0.3345  0.1827  0.6266
Cl  0.3345  0.3173  0.8734
Cl  0.2019  0.5000  0.1048
Cl  0.7981  0.0000  0.6048
Cl  0.2019  0.0000  0.3952
Cl  0.7981  0.5000  0.8952
Cl  0.3345  0.8173  0.6266
O  0.2260  0.0000  0.9912
O  0.9123  0.8609  0.8510
O  0.0877  0.8609  0.1490
O  0.2260  0.5000  0.5088
O  0.7740  0.5000  0.4912
O  0.4226  0.0000  0.1596
O  0.0877  0.1391  0.1490
O  0.0877  0.3609  0.3510
O  0.0877  0.6391  0.3510
O  0.4226  0.5000  0.3404
O  0.9123  0.6391  0.6490
O  0.9123  0.3609  0.6490
O  0.9123  0.1391  0.8510
O  0.7740  0.0000  0.0088
O  0.5774  0.0000  0.8404
O  0.5774  0.5000  0.6596
Eu  0.3308  0.2500  0.2500
Eu  0.3308  0.7500  0.2500
Eu  0.0000  0.2601  0.0000
Eu  0.7767  0.0000  0.1894
Eu  0.6692  0.7500  0.7500
Eu  0.0000  0.2399  0.5000
Eu  0.2233  0.0000  0.8106
Eu  0.2233  0.5000  0.6894
Eu  0.0000  0.7601  0.5000
Eu  0.6692  0.2500  0.7500
Eu  0.0000  0.7399  0.0000
Eu  0.7767  0.5000  0.3106
Si  0.7923  0.0000  0.8888
Si  0.7923  0.5000  0.6112
Si  0.2077  0.0000  0.1112
Si  0.2077  0.5000  0.3888
Li  0.5000  0.0000  0.0000
Li  0.5000  0.0000  0.5000
Li  0.5000  0.5000  0.0000
Li  0.5000  0.5000  0.5000

Computed properties:
- DFT total energy (eV/atom) = -7.942
- energy of formation (eV/atom) = -2.88


No. 2
Material: Li7Eu8Si4Cl7O16
Method: DFT, PBE
State: optimized geometry

Cell: 8.5625 9.5566 16.8793 Å, 90.00 96.01 90.00°
Positions (direct):
Si  0.1152  0.2487  0.8284
Si  0.3791  0.7975  0.9227
Si  0.6215  0.2022  0.0771
Si  0.8850  0.7491  0.6718
Si  0.1152  0.2513  0.3284
Si  0.8850  0.7509  0.1718
Si  0.6215  0.2978  0.5771
Si  0.3791  0.7025  0.4227
Eu  0.6646  0.6078  0.0336
Eu  0.1562  0.7431  0.5580
Eu  0.3339  0.1070  0.4666
Eu  0.1356  0.8778  0.3030
Eu  0.3885  0.2142  0.2118
Eu  0.1562  0.7569  0.0580
Eu  0.3885  0.2858  0.7118
Eu  0.6101  0.7829  0.7874
Eu  0.1356  0.6222  0.8030
Eu  0.3339  0.3930  0.9666
Eu  0.6101  0.7171  0.2874
Eu  0.8468  0.2456  0.9428
Eu  0.8658  0.3779  0.1961
Eu  0.6646  0.8922  0.5336
Eu  0.8658  0.1221  0.6961
Eu  0.8468  0.2544  0.4428
Li  0.2383  0.4021  0.5170
Li  0.5038  0.4822  0.4786
Li  0.7791  0.0701  0.2632
Li  0.2383  0.0979  0.0170
Li  0.5038  0.0178  0.9786
Li  0.2212  0.9297  0.7369
Li  0.7791  0.4299  0.7632
Li  0.1767  0.9977  0.8756
Li  0.7642  0.6001  0.4849
Li  0.1767  0.5023  0.3756
Li  0.8208  0.0013  0.1241
Li  0.2212  0.5703  0.2369
Li  0.8208  0.4987  0.6241
Li  0.7642  0.8999  0.9849
O  0.0687  0.7035  0.1923
O  0.2999  0.5759  0.4720
O  0.1534  0.1159  0.7710
O  0.0687  0.7965  0.6923
O  0.3133  0.8528  0.4511
O  0.8612  0.6961  0.5775
O  0.8612  0.8039  0.0775
O  0.3254  0.6781  0.3272
O  0.6884  0.1460  0.5502
O  0.1397  0.1957  0.9227
O  0.2999  0.9241  0.9720
O  0.4299  0.1918  0.0553
O  0.8468  0.6161  0.7289
O  0.6731  0.3227  0.6724
O  0.3133  0.6472  0.9511
O  0.4299  0.3082  0.5553
O  0.5715  0.8106  0.9411
O  0.3254  0.8219  0.8272
O  0.5715  0.6894  0.4411
O  0.2383  0.1212  0.3201
O  0.7034  0.0785  0.0262
O  0.9315  0.2958  0.8076
O  0.6731  0.1773  0.1724
O  0.9315  0.2042  0.3076
O  0.7034  0.4215  0.5262
O  0.6884  0.3540  0.0502
O  0.1534  0.3841  0.2710
O  0.7617  0.8791  0.6800
O  0.8468  0.8839  0.2289
O  0.2383  0.3788  0.8201
O  0.1397  0.3043  0.4227
O  0.7617  0.6209  0.1800
Cl  0.3957  0.8994  0.1784
Cl  0.9379  0.8608  0.8859
Cl  0.6004  0.1007  0.8247
Cl  0.0005  0.9993  0.5002
Cl  0.0623  0.3605  0.6142
Cl  0.6131  0.4784  0.8670
Cl  0.0623  0.1395  0.1142
Cl  0.3871  0.9788  0.6333
Cl  0.3957  0.6006  0.6784
Cl  0.0005  0.5007  0.0002
Cl  0.6131  0.0216  0.3670
Cl  0.3871  0.5212  0.1333
Cl  0.9379  0.6392  0.3859
Cl  0.6004  0.3993  0.3247

Computed properties:
- DFT total energy (eV/atom) = -7.591
- energy of formation (eV/atom) = -2.87


No. 3
Material: Rb2LiEuCl6
Method: DFT, PBE
State: optimized geometry

Cell: 7.4730 7.4730 7.4730 Å, 60.00 60.00 60.00°
Positions (direct):
Cl  0.2563  0.7437  0.7437
Cl  0.7437  0.2563  0.2563
Cl  0.7437  0.2563  0.7437
Cl  0.2563  0.2563  0.7437
Cl  0.7437  0.7437  0.2563
Cl  0.2563  0.7437  0.2563
Li  0.5000  0.5000  0.5000
Rb  0.2500  0.2500  0.2500
Rb  0.7500  0.7500  0.7500
Eu  0.0000  0.0000  0.0000

Computed properties:
- DFT total energy (eV/atom) = -4.431
- energy of formation (eV/atom) = -2.28